Arrangement 1

A plane-wave DFT calculation with GGA+U was carried out for crystalline Mn2ZnO4 at its relaxed geometry.

Unit cell a=6.0879 b=10.3083 c=5.1762 alpha=90.00 beta=90.00 gamma=90.00
With the nearest neighbours (Å) after each atom.
Sites, in units of the cell vectors:
Mn  0.0000  0.0000  0.0000  4 O 1.97-1.99
Mn  0.0000  0.5000  0.0000  4 O 1.97-1.99
Mn  0.2500  0.0142  0.4869  2 O 1.87-1.98
Mn  0.2500  0.4858  0.4869  2 O 1.87-1.98
Mn  0.5000  0.0000  0.0000  4 O 1.97-1.99
Mn  0.5000  0.5000  0.0000  4 O 1.97-1.99
Mn  0.7500  0.5142  0.5131  2 O 1.87-1.98
Mn  0.7500  0.9858  0.5131  2 O 1.87-1.98
Zn  0.2500  0.2500  0.8357  6 O 2.21-2.23
Zn  0.2500  0.7500  0.5058  2 O 2.03
Zn  0.7500  0.2500  0.4942  2 O 2.03
Zn  0.7500  0.7500  0.1643  6 O 2.21-2.23
O  0.0015  0.1128  0.6880  3 Mn 1.99-2.21, 1 Zn 2.21
O  0.0015  0.3872  0.6880  3 Mn 1.99-2.21, 1 Zn 2.21
O  0.2500  0.0982  0.1424  3 Mn 1.97-1.98
O  0.2500  0.4018  0.1424  3 Mn 1.97-1.98
O  0.2500  0.6022  0.7648  1 Mn 1.87, 1 Zn 2.03
O  0.2500  0.8978  0.7648  1 Mn 1.87, 1 Zn 2.03
O  0.4985  0.1128  0.6880  3 Mn 1.99-2.21, 1 Zn 2.21
O  0.4985  0.3872  0.6880  3 Mn 1.99-2.21, 1 Zn 2.21
O  0.5015  0.6128  0.3120  3 Mn 1.99-2.21, 1 Zn 2.21
O  0.5015  0.8872  0.3120  3 Mn 1.99-2.21, 1 Zn 2.21
O  0.7500  0.1022  0.2352  1 Mn 1.87, 1 Zn 2.03
O  0.7500  0.3978  0.2352  1 Mn 1.87, 1 Zn 2.03
O  0.7500  0.5982  0.8576  3 Mn 1.97-1.98
O  0.7500  0.9018  0.8576  3 Mn 1.97-1.98
O  0.9985  0.6128  0.3120  3 Mn 1.99-2.21, 1 Zn 2.21
O  0.9985  0.8872  0.3120  3 Mn 1.99-2.21, 1 Zn 2.21

Calculated values
* symmetry: Pmmn, No. 59
* spin magnetization: 32.0 μB per cell

***

Arrangement 2

A plane-wave DFT calculation with GGA+U was carried out for crystalline Mn2ZnO4 at its relaxed geometry.

Unit cell a=6.1303 b=6.1303 c=6.1303 alpha=121.19 beta=121.07 gamma=88.06
With the nearest neighbours (Å) after each atom.
Sites, in units of the cell vectors:
Mn  0.0000  0.0000  0.5000  6 O 1.95-2.00
Mn  0.0000  0.5000  0.0000  6 O 1.95-2.00
Mn  0.3618  0.1118  0.2500  4 O 2.03-2.08
Mn  0.6382  0.8882  0.7500  4 O 2.03-2.08
Zn  0.0000  0.5000  0.5000  6 O 2.08-2.23
Zn  0.5000  0.5000  0.0000  6 O 2.08-2.23
O  0.2171  0.2481  0.9690  3 Mn 2.00-2.08, 1 Zn 2.23
O  0.2209  0.2369  0.5160  2 Mn 1.95-2.03, 2 Zn 2.08
O  0.2209  0.7049  0.9840  2 Mn 1.95-2.03, 2 Zn 2.08
O  0.2209  0.7519  0.4690  3 Mn 2.00-2.08, 1 Zn 2.23
O  0.7791  0.2481  0.5310  3 Mn 2.00-2.08, 1 Zn 2.23
O  0.7791  0.2951  0.0160  2 Mn 1.95-2.03, 2 Zn 2.08
O  0.7791  0.7631  0.4840  2 Mn 1.95-2.03, 2 Zn 2.08
O  0.7829  0.7519  0.0310  3 Mn 2.00-2.08, 1 Zn 2.23

Calculated values
* symmetry: Imma, No. 74
* spin magnetization: 16.0 μB per cell

***

Arrangement 3

A plane-wave DFT calculation with GGA+U was carried out for crystalline Mn2ZnO4 at its relaxed geometry.

Unit cell a=6.2411 b=6.2352 c=5.8036 alpha=62.33 beta=62.23 gamma=55.44
With the nearest neighbours (Å) after each atom.
Sites, in units of the cell vectors:
Mn  0.0000  0.0000  0.0000  4 O 1.96
Mn  0.0000  0.0000  0.5000  4 O 1.96
Mn  0.0000  0.5000  0.0000  4 O 1.96
Mn  0.5000  0.0000  0.0000  4 O 1.96
Zn  0.3750  0.3750  0.3750  4 O 2.01
Zn  0.6250  0.6250  0.6250  4 O 2.01
O  0.2207  0.7663  0.7566  2 Mn 1.96, 1 Zn 2.01
O  0.2337  0.7793  0.2437  2 Mn 1.96, 1 Zn 2.01
O  0.2434  0.2437  0.7793  2 Mn 1.96, 1 Zn 2.01
O  0.2437  0.2434  0.2337  2 Mn 1.96, 1 Zn 2.01
O  0.7563  0.7566  0.7663  2 Mn 1.96, 1 Zn 2.01
O  0.7566  0.7563  0.2207  2 Mn 1.96, 1 Zn 2.01
O  0.7663  0.2207  0.7563  2 Mn 1.96, 1 Zn 2.01
O  0.7793  0.2337  0.2434  2 Mn 1.96, 1 Zn 2.01

Calculated values
* symmetry: Fddd, No. 70

***

Relative stability in meV/atom, measured from the most stable structure: arrangement 1 185; arrangement 2 103; arrangement 3 0

***

Arrangement 1

A plane-wave DFT calculation with GGA+U was carried out for crystalline Sr3TaCoO7 at its relaxed geometry.

Unit cell a=5.5944 b=11.1575 c=11.1923 alpha=90.00 beta=90.00 gamma=75.55
With the nearest neighbours (Å) after each atom.
Sites, in units of the cell vectors:
O  0.1997  0.6019  0.0006  1 Co 1.99
O  0.1456  0.2086  0.6249  2 Ta 1.98
O  0.6457  0.2086  0.1251  2 Ta 1.98
O  0.3596  0.8054  0.1324  2 Co 1.88-2.07
O  0.1469  0.2057  0.8749  2 Ta 1.98
O  0.3301  0.8076  0.3826  1 Co 1.87
O  0.6471  0.2055  0.3751  2 Ta 1.98
O  0.9894  0.0195  0.5022  1 Ta 1.91
O  0.3598  0.8054  0.6323  2 Co 1.88-2.07
O  0.4895  0.0195  0.2477  1 Ta 1.91
O  0.6996  0.6020  0.2494  1 Co 1.99
O  0.6458  0.2086  0.6251  2 Ta 1.98
O  0.1996  0.6021  0.5006  1 Co 1.99
O  0.3050  0.3902  0.7517  1 Ta 2.09
O  0.8303  0.8075  0.8676  1 Co 1.88
O  0.8302  0.8075  0.3675  1 Co 1.87
O  0.8596  0.8054  0.6176  2 Co 1.88-2.07
O  0.3303  0.8074  0.8823  1 Co 1.88
O  0.3051  0.3901  0.2515  1 Ta 2.09
O  0.6469  0.2057  0.8751  2 Ta 1.98
O  0.4894  0.0196  0.7480  1 Ta 1.91
O  0.8051  0.3901  0.4984  1 Ta 2.09
O  0.1458  0.2086  0.1249  2 Ta 1.98
O  0.9894  0.0196  0.0020  1 Ta 1.92
O  0.6997  0.6020  0.7494  1 Co 1.99
O  0.8051  0.3902  0.9983  1 Ta 2.09
O  0.8598  0.8054  0.1178  2 Co 1.88-2.07
O  0.1471  0.2055  0.3749  2 Ta 1.98
Sr  0.0191  0.9614  0.2511  8 O 2.58-2.88
Sr  0.5192  0.9614  0.4989  8 O 2.58-2.88
Sr  0.8086  0.3839  0.7502  1 O 2.36
Sr  0.1844  0.6329  0.2511  9 O 2.62-2.82
Sr  0.6845  0.6328  0.9987  9 O 2.62-2.83
Sr  0.5192  0.9614  0.9988  8 O 2.58-2.88
Sr  0.6844  0.6329  0.4988  9 O 2.62-2.82
Sr  0.1846  0.6328  0.7513  9 O 2.62-2.83
Sr  0.3085  0.3839  0.4998  1 O 2.36
Sr  0.3085  0.3839  0.9998  1 O 2.36
Sr  0.0193  0.9614  0.7512  8 O 2.58-2.88
Sr  0.8085  0.3839  0.2502  1 O 2.36
Co  0.1094  0.7863  0.0019  4 O 1.88-2.07
Co  0.6094  0.7863  0.7480  4 O 1.88-2.07
Co  0.6094  0.7864  0.2481  4 O 1.87-2.07
Co  0.1094  0.7863  0.5019  4 O 1.87-2.07
Ta  0.4016  0.1968  0.7498  6 O 1.91-2.09
Ta  0.9016  0.1969  0.0002  6 O 1.92-2.09
Ta  0.4016  0.1967  0.2499  6 O 1.91-2.09
Ta  0.9017  0.1967  0.5001  6 O 1.91-2.09

Calculated values
* spin magnetization: 0.0 μB per cell

***

Arrangement 2

A plane-wave DFT calculation with GGA+U was carried out for crystalline Sr3TaCoO7 at its relaxed geometry.

Unit cell a=3.9529 b=3.9529 c=21.3951 alpha=90.02 beta=90.02 gamma=90.23
With the nearest neighbours (Å) after each atom.
Sites, in units of the cell vectors:
Sr  0.0000  0.0000  0.0000  8 O 2.60-2.86
Sr  0.0001  0.0001  0.1652  9 O 2.65-2.82
Sr  0.9996  0.9996  0.7882  1 O 2.34
Sr  0.4963  0.4963  0.6624  9 O 2.65-2.84
Sr  0.5001  0.5001  0.2913  1 O 2.35
Sr  0.5028  0.5028  0.5021  8 O 2.56-2.86
Ta  0.0005  0.0005  0.3862  6 O 1.92-2.08
Ta  0.5001  0.5001  0.8836  6 O 1.92-2.07
Co  0.0001  0.0001  0.5854  5 O 1.98-2.00
Co  0.5002  0.5002  0.0879  5 O 1.99-2.00
O  0.9998  0.9998  0.2889  1 Ta 2.08
O  0.0000  0.0000  0.4759  1 Ta 1.92
O  0.0002  0.5001  0.0791  2 Co 1.99
O  0.9999  0.5003  0.3812  2 Ta 1.98
O  0.0001  0.5001  0.8793  2 Ta 1.98
O  0.0001  0.5015  0.5788  2 Co 1.98-1.99
O  0.0011  0.0011  0.6789  1 Co 2.00
O  0.5001  0.0002  0.0791  2 Co 1.99
O  0.5003  0.9999  0.3812  2 Ta 1.98
O  0.5001  0.0001  0.8793  2 Ta 1.98
O  0.5002  0.5002  0.1814  1 Co 2.00
O  0.4996  0.4996  0.7869  1 Ta 2.07
O  0.5003  0.5003  0.9736  1 Ta 1.92
O  0.5015  0.0001  0.5788  2 Co 1.98-1.99

Calculated values
* symmetry: Cm, No. 8
* spin magnetization: 1.0 μB per cell

***

Arrangement 3

A plane-wave DFT calculation with GGA+U was carried out for crystalline Sr3TaCoO7 at its relaxed geometry.

Unit cell a=21.8286 b=21.8286 c=21.8286 alpha=165.26 beta=165.26 gamma=20.90
With the nearest neighbours (Å) after each atom.
Sites, in units of the cell vectors:
Sr  0.0000  0.0000  0.0000  9 O 2.65-2.82
Sr  0.0819  0.0819  0.0000  8 O 2.59-2.86
Sr  0.1872  0.1872  0.0000  1 O 2.35
Sr  0.2500  0.7500  0.5000  9 O 2.65-2.82
Sr  0.3319  0.8319  0.5000  8 O 2.59-2.86
Sr  0.4372  0.9372  0.5000  1 O 2.35
Sr  0.5000  0.5000  0.0000  9 O 2.65-2.82
Sr  0.5819  0.5819  0.0000  8 O 2.59-2.86
Sr  0.6872  0.6872  0.0000  1 O 2.35
Sr  0.7500  0.2500  0.5000  9 O 2.65-2.82
Sr  0.8319  0.3319  0.5000  8 O 2.59-2.86
Sr  0.9372  0.4372  0.5000  1 O 2.35
Ta  0.1398  0.6398  0.5000  6 O 1.92-2.08
Ta  0.3898  0.3898  0.0000  6 O 1.92-2.08
Ta  0.6398  0.1398  0.5000  6 O 1.92-2.08
Ta  0.8898  0.8898  0.0000  6 O 1.92-2.08
Co  0.0386  0.5386  0.5000  5 O 1.89-2.09
Co  0.2886  0.2886  0.0000  5 O 1.89-2.09
Co  0.5386  0.0386  0.5000  5 O 1.89-2.09
Co  0.7886  0.7886  0.0000  5 O 1.89-2.09
O  0.0300  0.5563  0.0002  2 Co 1.89-2.09
O  0.0561  0.0563  0.5262  2 Co 1.89-2.09
O  0.0952  0.5952  0.5000  1 Ta 1.92
O  0.1421  0.1422  0.5000  2 Ta 1.98
O  0.1421  0.6422  0.0001  2 Ta 1.98
O  0.1882  0.6882  0.5000  1 Ta 2.08
O  0.2419  0.2419  0.0000  1 Co 2.00
O  0.2799  0.3061  0.4998  2 Co 1.89-2.09
O  0.3063  0.8061  0.0262  2 Co 1.89-2.09
O  0.3452  0.3452  0.0000  1 Ta 1.92
O  0.3921  0.3921  0.4999  2 Ta 1.98
O  0.3922  0.8921  0.0000  2 Ta 1.98
O  0.4382  0.4382  0.0000  1 Ta 2.08
O  0.4919  0.9919  0.5000  1 Co 2.00
O  0.5300  0.5299  0.4738  2 Co 1.89-2.09
O  0.5561  0.0299  0.9998  2 Co 1.89-2.09
O  0.5952  0.0952  0.5000  1 Ta 1.92
O  0.6421  0.1421  0.9999  2 Ta 1.98
O  0.6421  0.6421  0.5000  2 Ta 1.98
O  0.6882  0.1882  0.5000  1 Ta 2.08
O  0.7419  0.7419  0.0000  1 Co 2.00
O  0.7799  0.2800  0.9738  2 Co 1.89-2.09
O  0.8063  0.7800  0.5002  2 Co 1.89-2.09
O  0.8452  0.8452  0.0000  1 Ta 1.92
O  0.8921  0.3921  0.0000  2 Ta 1.98
O  0.8922  0.8921  0.5001  2 Ta 1.98
O  0.9382  0.9382  0.0000  1 Ta 2.08
O  0.9919  0.4919  0.5000  1 Co 2.00

Calculated values
* symmetry: I4_1cd, No. 110
* spin magnetization: 0.1 μB per cell

***

Relative stability in meV/atom, measured from the most stable structure: arrangement 1 0; arrangement 2 26; arrangement 3 12